[1]
# Lu4CdIr meta-GGA r2SCAN relaxed
data_Lu4CdIr
_chemical_formula_sum 'Lu16 Cd4 Ir4'
_space_group_name_H-M_alt 'P 1'
_space_group_IT_number 1
_cell_length_a 9.379
_cell_length_b 9.379
_cell_length_c 9.380
_cell_angle_alpha 60.00
_cell_angle_beta 60.00
_cell_angle_gamma 60.00
loop_
_space_group_symop_operation_xyz
'x,y,z'
loop_
_atom_site_label
_atom_site_type_symbol
_atom_site_fract_x
_atom_site_fract_y
_atom_site_fract_z
Lu1 Lu 0.349 0.349 0.349
Lu2 Lu 0.349 0.349 0.953
Lu3 Lu 0.349 0.953 0.349
Lu4 Lu 0.953 0.349 0.349
Lu5 Lu 0.809 0.191 0.191
Lu6 Lu 0.191 0.809 0.809
Lu7 Lu 0.191 0.809 0.191
Lu8 Lu 0.809 0.191 0.809
Lu9 Lu 0.191 0.191 0.809
Lu10 Lu 0.809 0.809 0.191
Lu11 Lu 0.938 0.562 0.562
Lu12 Lu 0.562 0.938 0.938
Lu13 Lu 0.562 0.938 0.562
Lu14 Lu 0.938 0.562 0.938
Lu15 Lu 0.562 0.562 0.938
Lu16 Lu 0.938 0.938 0.562
Cd1 Cd 0.581 0.581 0.581
Cd2 Cd 0.581 0.581 0.257
Cd3 Cd 0.581 0.257 0.581
Cd4 Cd 0.257 0.581 0.581
Ir1 Ir 0.141 0.141 0.141
Ir2 Ir 0.141 0.141 0.577
Ir3 Ir 0.141 0.577 0.141
Ir4 Ir 0.577 0.141 0.141
# **Formation energy from the elements**: -0.6220 eV per atom
# **Magnetic moment**: 1.45 μB per cell
# **Raw total energy**: -1.3996 Ha/atom

---

[2]
# Bi2Se3 meta-GGA r2SCAN relaxed
data_Bi2Se3
_chemical_formula_sum 'Bi2 Se3'
_space_group_name_H-M_alt 'P 1'
_space_group_IT_number 1
_cell_length_a 10.266
_cell_length_b 10.266
_cell_length_c 10.266
_cell_angle_alpha 23.56
_cell_angle_beta 23.56
_cell_angle_gamma 23.56
loop_
_space_group_symop_operation_xyz
'x,y,z'
loop_
_atom_site_label
_atom_site_type_symbol
_atom_site_fract_x
_atom_site_fract_y
_atom_site_fract_z
Bi1 Bi 0.398 0.398 0.398
Bi2 Bi 0.602 0.602 0.602
Se1 Se 0.000 0.000 0.000
Se2 Se 0.216 0.216 0.216
Se3 Se 0.784 0.784 0.784
# **Formation energy from the elements**: -0.4341 eV per atom
# **Magnetic moment**: 0.00 μB per cell
# **Raw total energy**: -1.1915 Ha/atom

---

[3]
# LiVF4 meta-GGA r2SCAN relaxed
data_LiVF4
_chemical_formula_sum 'Li2 V2 F8'
_space_group_name_H-M_alt 'P 1'
_space_group_IT_number 1
_cell_length_a 5.499
_cell_length_b 5.499
_cell_length_c 5.499
_cell_angle_alpha 107.69
_cell_angle_beta 107.69
_cell_angle_gamma 113.10
loop_
_space_group_symop_operation_xyz
'x,y,z'
loop_
_atom_site_label
_atom_site_type_symbol
_atom_site_fract_x
_atom_site_fract_y
_atom_site_fract_z
Li1 Li 0.486 0.486 0.000
Li2 Li 0.736 0.236 0.500
V1 V 0.012 0.012 0.000
V2 V 0.262 0.762 0.500
F1 F 0.010 0.710 0.700
F2 F 0.010 0.309 0.300
F3 F 0.491 0.791 0.300
F4 F 0.441 0.241 0.200
F5 F 0.960 0.760 0.200
F6 F 0.559 0.760 0.800
F7 F 0.041 0.241 0.800
F8 F 0.491 0.191 0.700
# **Formation energy from the elements**: -3.2296 eV per atom
# **E above lowest polymorph**: 0.06 eV/f.u.
# **Magnetic moment**: 4.00 μB per cell
# **Raw total energy**: -0.2962 Ha/atom

---

[4]
# YbRu3C meta-GGA r2SCAN relaxed
data_YbRu3C
_chemical_formula_sum 'Yb1 Ru3 C1'
_space_group_name_H-M_alt 'P 1'
_space_group_IT_number 1
_cell_length_a 4.108
_cell_length_b 4.108
_cell_length_c 4.108
_cell_angle_alpha 90.00
_cell_angle_beta 90.00
_cell_angle_gamma 90.00
loop_
_space_group_symop_operation_xyz
'x,y,z'
loop_
_atom_site_label
_atom_site_type_symbol
_atom_site_fract_x
_atom_site_fract_y
_atom_site_fract_z
Yb1 Yb 0.500 0.500 0.500
Ru1 Ru 0.500 0.000 0.000
Ru2 Ru 0.000 0.500 0.000
Ru3 Ru 0.000 0.000 0.500
C1 C 0.000 0.000 0.000
# **Formation energy from the elements**: -0.3203 eV per atom
# **Magnetic moment**: 0.00 μB per cell
# **Raw total energy**: -0.9140 Ha/atom

---

[5]
# BaAsAu meta-GGA r2SCAN relaxed
data_BaAsAu
_chemical_formula_sum 'Ba2 As2 Au2'
_space_group_name_H-M_alt 'P 1'
_space_group_IT_number 1
_cell_length_a 4.581
_cell_length_b 4.581
_cell_length_c 9.168
_cell_angle_alpha 90.00
_cell_angle_beta 90.00
_cell_angle_gamma 120.00
loop_
_space_group_symop_operation_xyz
'x,y,z'
loop_
_atom_site_label
_atom_site_type_symbol
_atom_site_fract_x
_atom_site_fract_y
_atom_site_fract_z
Ba1 Ba 0.000 0.000 0.500
Ba2 Ba 0.000 0.000 0.000
As1 As 0.333 0.667 0.250
As2 As 0.667 0.333 0.750
Au1 Au 0.333 0.667 0.750
Au2 Au 0.667 0.333 0.250
# **Formation energy from the elements**: -1.0469 eV per atom
# **Magnetic moment**: 0.00 μB per cell
# **Raw total energy**: -1.1629 Ha/atom

---

[6]
# Zr6Al7Cu16 meta-GGA r2SCAN relaxed
data_Zr6Al7Cu16
_chemical_formula_sum 'Zr6 Al7 Cu16'
_space_group_name_H-M_alt 'P 1'
_space_group_IT_number 1
_cell_length_a 8.386
_cell_length_b 8.386
_cell_length_c 8.386
_cell_angle_alpha 60.00
_cell_angle_beta 60.00
_cell_angle_gamma 60.00
loop_
_space_group_symop_operation_xyz
'x,y,z'
loop_
_atom_site_label
_atom_site_type_symbol
_atom_site_fract_x
_atom_site_fract_y
_atom_site_fract_z
Zr1 Zr 0.707 0.707 0.293
Zr2 Zr 0.293 0.707 0.293
Zr3 Zr 0.707 0.293 0.293
Zr4 Zr 0.293 0.293 0.707
Zr5 Zr 0.707 0.293 0.707
Zr6 Zr 0.293 0.707 0.707
Al1 Al 0.000 0.000 0.000
Al2 Al 0.000 0.000 0.500
Al3 Al 0.500 0.000 0.500
Al4 Al 0.000 0.500 0.500
Al5 Al 0.500 0.500 0.000
Al6 Al 0.000 0.500 0.000
Al7 Al 0.500 0.000 0.000
Cu1 Cu 0.881 0.881 0.358
Cu2 Cu 0.881 0.358 0.881
Cu3 Cu 0.358 0.881 0.881
Cu4 Cu 0.881 0.881 0.881
Cu5 Cu 0.119 0.119 0.642
Cu6 Cu 0.119 0.642 0.119
Cu7 Cu 0.642 0.119 0.119
Cu8 Cu 0.119 0.119 0.119
Cu9 Cu 0.672 0.672 0.985
Cu10 Cu 0.672 0.985 0.672
Cu11 Cu 0.985 0.672 0.672
Cu12 Cu 0.672 0.672 0.672
Cu13 Cu 0.328 0.328 0.015
Cu14 Cu 0.328 0.015 0.328
Cu15 Cu 0.015 0.328 0.328
Cu16 Cu 0.328 0.328 0.328
# **Formation energy from the elements**: -0.3930 eV per atom
# **Magnetic moment**: 0.00 μB per cell
# **Raw total energy**: -0.4671 Ha/atom

---

[7]
# Cs meta-GGA r2SCAN relaxed
data_Cs
_chemical_formula_sum 'Cs4'
_space_group_name_H-M_alt 'P 1'
_space_group_IT_number 1
_cell_length_a 5.519
_cell_length_b 10.052
_cell_length_c 8.988
_cell_angle_alpha 90.00
_cell_angle_beta 90.00
_cell_angle_gamma 90.00
loop_
_space_group_symop_operation_xyz
'x,y,z'
loop_
_atom_site_label
_atom_site_type_symbol
_atom_site_fract_x
_atom_site_fract_y
_atom_site_fract_z
Cs1 Cs 0.739 0.395 0.750
Cs2 Cs 0.261 0.605 0.250
Cs3 Cs 0.739 0.105 0.250
Cs4 Cs 0.261 0.895 0.750
# **Formation energy from the elements**: 0.0243 eV per atom
# **E above lowest polymorph**: 0.02 eV/f.u.
# **Magnetic moment**: 0.26 μB per cell
# **Raw total energy**: -0.9218 Ha/atom

---

[8]
# Yb4Sb2O meta-GGA r2SCAN relaxed
data_Yb4Sb2O
_chemical_formula_sum 'Yb4 Sb2 O1'
_space_group_name_H-M_alt 'P 1'
_space_group_IT_number 1
_cell_length_a 8.989
_cell_length_b 8.989
_cell_length_c 8.989
_cell_angle_alpha 152.00
_cell_angle_beta 152.00
_cell_angle_gamma 40.02
loop_
_space_group_symop_operation_xyz
'x,y,z'
loop_
_atom_site_label
_atom_site_type_symbol
_atom_site_fract_x
_atom_site_fract_y
_atom_site_fract_z
Yb1 Yb 0.500 0.000 0.500
Yb2 Yb 0.684 0.684 0.000
Yb3 Yb 0.316 0.316 0.000
Yb4 Yb 0.000 0.500 0.500
Sb1 Sb 0.136 0.136 0.000
Sb2 Sb 0.864 0.864 0.000
O1 O 0.500 0.500 0.000
# **Formation energy from the elements**: -1.5521 eV per atom
# **Magnetic moment**: 0.00 μB per cell
# **Raw total energy**: -1.1254 Ha/atom

---

[9]
# Sc2CI3 meta-GGA r2SCAN relaxed
data_Sc2CI3
_chemical_formula_sum 'Sc16 C8 I24'
_space_group_name_H-M_alt 'P 1'
_space_group_IT_number 1
_cell_length_a 10.972
_cell_length_b 11.067
_cell_length_c 14.145
_cell_angle_alpha 107.33
_cell_angle_beta 88.04
_cell_angle_gamma 119.35
loop_
_space_group_symop_operation_xyz
'x,y,z'
loop_
_atom_site_label
_atom_site_type_symbol
_atom_site_fract_x
_atom_site_fract_y
_atom_site_fract_z
Sc1 Sc 0.564 0.405 0.602
Sc2 Sc 0.436 0.595 0.398
Sc3 Sc 0.927 0.645 0.662
Sc4 Sc 0.073 0.355 0.338
Sc5 Sc 0.663 0.531 0.837
Sc6 Sc 0.337 0.469 0.163
Sc7 Sc 0.805 0.910 0.892
Sc8 Sc 0.195 0.090 0.108
Sc9 Sc 0.151 0.161 0.880
Sc10 Sc 0.849 0.839 0.120
Sc11 Sc 0.301 0.518 0.620
Sc12 Sc 0.699 0.482 0.380
Sc13 Sc 0.662 0.717 0.605
Sc14 Sc 0.338 0.283 0.395
Sc15 Sc 0.014 0.805 0.899
Sc16 Sc 0.986 0.195 0.101
C1 C 0.830 0.713 0.792
C2 C 0.170 0.287 0.208
C3 C 0.960 0.957 0.030
C4 C 0.040 0.043 0.970
C5 C 0.719 0.613 0.708
C6 C 0.281 0.387 0.292
C7 C 0.448 0.503 0.530
C8 C 0.552 0.497 0.470
I1 I 0.858 0.576 0.000
I2 I 0.142 0.424 0.000
I3 I 0.578 0.713 0.995
I4 I 0.422 0.287 0.005
I5 I 0.728 0.128 0.994
I6 I 0.272 0.872 0.006
I7 I 0.638 0.901 0.506
I8 I 0.362 0.099 0.494
I9 I 0.925 0.772 0.505
I10 I 0.075 0.228 0.495
I11 I 0.787 0.356 0.499
I12 I 0.213 0.644 0.501
I13 I 0.200 0.933 0.749
I14 I 0.800 0.067 0.251
I15 I 0.503 0.802 0.757
I16 I 0.497 0.198 0.243
I17 I 0.061 0.529 0.751
I18 I 0.939 0.471 0.249
I19 I 0.345 0.377 0.753
I20 I 0.655 0.623 0.247
I21 I 0.908 0.066 0.744
I22 I 0.092 0.934 0.256
I23 I 0.629 0.256 0.739
I24 I 0.371 0.744 0.261
# **Formation energy from the elements**: -1.2197 eV per atom
# **Magnetic moment**: 0.00 μB per cell
# **Raw total energy**: -0.6966 Ha/atom